Entry 1:
## ThBC (PBE)

Data for a geometry-optimized ThBC structure.

Cell: 3.784 3.784 25.300 Å, 90.00 90.00 90.00°
Positions (direct):
Th 0.798 0.696 0.680
Th 0.202 0.304 0.180
B 0.842 0.706 0.523
Th 0.202 0.696 0.320
C 0.695 0.203 0.332
C 0.305 0.203 0.668
Th 0.696 0.798 0.070
Th 0.304 0.798 0.930
Th 0.696 0.202 0.430
B 0.842 0.294 0.977
B 0.294 0.158 0.727
B 0.706 0.158 0.273
C 0.797 0.305 0.918
B 0.158 0.294 0.023
C 0.797 0.695 0.582
Th 0.798 0.304 0.820
C 0.695 0.797 0.168
C 0.203 0.305 0.082
C 0.305 0.797 0.832
B 0.706 0.842 0.227
B 0.158 0.706 0.477
B 0.294 0.842 0.773
Th 0.304 0.202 0.570
C 0.203 0.695 0.418

**VASP energy**: -8.246 eV per atom
**V**: 15.09 Å³/atom
**Crystal system**: tetragonal
**Formation energy**: -472 meV/atom

=====

Entry 2:
## ThB2C (PBE)

Data for a geometry-optimized ThB2C structure.

Cell: 5.438 5.438 5.438 Å, 75.99 75.99 75.99°
Positions (direct):
Th 0.316 0.316 0.316
C 0.500 0.000 0.000
B 0.224 0.500 0.776
B 0.500 0.776 0.224
B 0.224 0.776 0.500
Th 0.684 0.684 0.684
C 0.000 0.500 0.000
B 0.776 0.224 0.500
Th 0.000 0.000 0.000
C 0.000 0.000 0.500
B 0.500 0.224 0.776
B 0.776 0.500 0.224

**VASP energy**: -8.024 eV per atom
**V**: 12.38 Å³/atom
**Crystal system**: trigonal
**Formation energy**: -523 meV/atom

=====

Entry 3:
## TmB2C (PBE)

Data for a geometry-optimized TmB2C structure.

Cell: 6.756 6.756 7.293 Å, 90.00 90.00 90.00°
Positions (direct):
C 0.678 0.460 0.500
Tm 0.809 0.691 0.250
B 0.034 0.847 0.500
Tm 0.191 0.309 0.750
C 0.960 0.178 0.000
Tm 0.309 0.809 0.250
C 0.178 0.040 0.500
B 0.097 0.594 0.000
C 0.822 0.960 0.500
B 0.466 0.347 0.500
B 0.594 0.903 0.500
B 0.906 0.403 0.500
C 0.540 0.678 0.000
B 0.153 0.034 0.000
B 0.347 0.534 0.000
B 0.966 0.153 0.500
B 0.903 0.406 0.000
B 0.847 0.966 0.000
B 0.403 0.094 0.000
Tm 0.691 0.191 0.250
Tm 0.191 0.309 0.250
Tm 0.691 0.191 0.750
Tm 0.309 0.809 0.750
B 0.597 0.906 0.000
B 0.653 0.466 0.000
C 0.460 0.322 0.000
C 0.322 0.540 0.500
Tm 0.809 0.691 0.750
C 0.040 0.822 0.000
B 0.094 0.597 0.500
B 0.406 0.097 0.500
B 0.534 0.653 0.500

**VASP energy**: -7.324 eV per atom
**V**: 10.40 Å³/atom
**Crystal system**: tetragonal
**Formation energy**: -559 meV/atom

=====

Entry 4:
## UB2C (PBE)

Data for a geometry-optimized UB2C structure.

Cell: 5.196 5.196 5.196 Å, 78.11 78.11 78.11°
Positions (direct):
B 0.229 0.771 0.500
B 0.771 0.500 0.229
C 0.500 0.000 0.000
U 0.690 0.690 0.690
B 0.771 0.229 0.500
C 0.000 0.500 0.000
C 0.000 0.000 0.500
U 0.310 0.310 0.310
B 0.500 0.229 0.771
B 0.229 0.500 0.771
B 0.500 0.771 0.229
U 0.000 0.000 0.000

**VASP energy**: -8.855 eV per atom
**V**: 11.03 Å³/atom
**Crystal system**: trigonal
**Formation energy**: -386 meV/atom

=====

Entry 5:
## UB2C (PBE)

Data for a geometry-optimized UB2C structure.

Cell: 3.506 4.102 6.011 Å, 90.00 90.00 90.00°
Positions (direct):
C 0.500 0.500 0.000
U 0.000 0.698 0.750
U 0.000 0.302 0.250
B 0.500 0.841 0.401
C 0.500 0.500 0.500
B 0.500 0.159 0.901
B 0.500 0.159 0.599
B 0.500 0.841 0.099

**VASP energy**: -8.873 eV per atom
**V**: 10.80 Å³/atom
**Crystal system**: orthorhombic
**Formation energy**: -404 meV/atom

=====

Entry 6:
## U4B3C5 (PBE)

Data for a geometry-optimized U4B3C5 structure.

Cell: 3.228 3.657 11.842 Å, 90.00 90.00 90.00°
Positions (direct):
B 0.500 0.000 0.531
U 0.000 0.500 0.634
C 0.500 0.000 0.663
C 0.000 0.000 0.465
U 0.500 0.500 0.365
B 0.500 0.500 0.035
U 0.000 0.000 0.140
U 0.500 0.000 0.862
C 0.000 0.500 0.832
B 0.000 0.500 0.966
C 0.500 0.500 0.169
C 0.000 0.000 0.340

**VASP energy**: -9.638 eV per atom
**V**: 11.65 Å³/atom
**Crystal system**: orthorhombic
**Formation energy**: -359 meV/atom

=====

Entry 7:
## VBC (PBE)

Data for a geometry-optimized VBC structure.

Cell: 2.777 2.777 6.915 Å, 90.00 90.00 120.00°
Positions (direct):
V 0.000 0.000 0.000
B 0.333 0.667 0.750
B 0.667 0.333 0.250
C 0.667 0.333 0.750
C 0.333 0.667 0.250
V 0.000 0.000 0.500

**VASP energy**: -8.455 eV per atom
**V**: 7.70 Å³/atom
**Crystal system**: hexagonal
**Formation energy**: -125 meV/atom

=====

Entry 8:
## YB2C2 (PBE)

Data for a geometry-optimized YB2C2 structure.

Cell: 3.799 3.799 7.240 Å, 90.00 90.00 90.00°
Positions (direct):
B 0.500 0.215 0.500
C 0.500 0.188 0.000
B 0.215 0.500 0.000
C 0.188 0.500 0.500
C 0.812 0.500 0.500
C 0.500 0.812 0.000
Y 0.000 0.000 0.750
B 0.785 0.500 0.000
B 0.500 0.785 0.500
Y 0.000 0.000 0.250

**VASP energy**: -7.951 eV per atom
**V**: 10.45 Å³/atom
**Crystal system**: tetragonal
**Formation energy**: -294 meV/atom

=====

Entry 9:
## YBC (PBE)

Data for a geometry-optimized YBC structure.

Cell: 3.396 3.525 9.656 Å, 90.00 100.13 90.00°
Positions (direct):
Y 0.155 0.000 0.310
B 0.723 0.500 0.446
B 0.277 0.500 0.554
C 0.355 0.500 0.710
Y 0.845 0.000 0.690
C 0.645 0.500 0.290

**VASP energy**: -7.502 eV per atom
**V**: 18.96 Å³/atom
**Crystal system**: orthorhombic
**Formation energy**: -44 meV/atom

=====

Entry 10:
## YB2C2 (PBE)

Data for a geometry-optimized YB2C2 structure.

Cell: 5.353 5.353 3.587 Å, 90.00 90.00 90.00°
Positions (direct):
B 0.863 0.363 0.500
Y 0.500 0.500 0.000
B 0.363 0.137 0.500
C 0.662 0.162 0.500
C 0.338 0.838 0.500
Y 0.000 0.000 0.000
B 0.137 0.637 0.500
B 0.637 0.863 0.500
C 0.162 0.338 0.500
C 0.838 0.662 0.500

**VASP energy**: -8.094 eV per atom
**V**: 10.28 Å³/atom
**Crystal system**: tetragonal
**Formation energy**: -438 meV/atom

=====

Entry 11:
## Y10B7C10 (PBE)

Data for a geometry-optimized Y10B7C10 structure.

Cell: 8.002 8.002 23.733 Å, 84.12 84.12 88.70°
Positions (direct):
Y 0.354 0.914 0.818
B 0.342 0.293 0.524
Y 0.914 0.354 0.318
Y 0.242 0.291 0.195
C 0.255 0.205 0.818
C 0.326 0.873 0.916
Y 0.173 0.224 0.424
C 0.674 0.127 0.084
Y 0.504 0.845 0.682
C 0.545 0.392 0.192
B 0.689 0.147 0.021
B 0.311 0.853 0.979
Y 0.424 0.574 0.923
C 0.873 0.326 0.416
B 0.658 0.707 0.476
B 0.489 0.744 0.019
Y 0.227 0.978 0.577
B 0.293 0.342 0.024
B 0.102 0.459 0.980
Y 0.822 0.375 0.923
Y 0.455 0.697 0.181
B 0.091 0.945 0.020
Y 0.625 0.178 0.577
C 0.875 0.523 0.083
C 0.125 0.477 0.917
B 0.707 0.658 0.976
C 0.059 0.807 0.808
C 0.076 0.926 0.083
C 0.608 0.455 0.308
C 0.455 0.608 0.808
C 0.924 0.074 0.917
Y 0.375 0.028 0.078
C 0.526 0.277 0.917
C 0.745 0.795 0.182
Y 0.086 0.646 0.682
Y 0.972 0.625 0.422
B 0.898 0.541 0.020
B 0.621 0.071 0.750
C 0.990 0.342 0.692
Y 0.178 0.625 0.077
C 0.392 0.545 0.692
Y 0.709 0.758 0.305
B 0.744 0.489 0.519
Y 0.426 0.576 0.577
B 0.572 0.428 0.250
B 0.459 0.102 0.480
C 0.658 0.010 0.808
Y 0.155 0.496 0.818
B 0.909 0.055 0.980
Y 0.625 0.972 0.922
Y 0.303 0.545 0.319
B 0.122 0.878 0.750
Y 0.496 0.155 0.318
Y 0.291 0.242 0.695
B 0.511 0.256 0.981
Y 0.375 0.822 0.423
C 0.127 0.674 0.584
C 0.523 0.875 0.583
Y 0.758 0.709 0.805
C 0.676 0.726 0.412
C 0.477 0.125 0.417
B 0.945 0.091 0.520
Y 0.022 0.773 0.923
B 0.853 0.311 0.479
C 0.723 0.474 0.583
Y 0.697 0.455 0.681
C 0.926 0.076 0.583
B 0.055 0.909 0.480
Y 0.845 0.504 0.182
B 0.071 0.621 0.250
C 0.594 0.143 0.693
B 0.428 0.572 0.750
Y 0.574 0.424 0.423
C 0.010 0.658 0.308
C 0.406 0.857 0.307
B 0.379 0.929 0.250
Y 0.978 0.227 0.077
Y 0.576 0.426 0.077
C 0.193 0.941 0.692
B 0.147 0.689 0.521
C 0.795 0.745 0.682
C 0.274 0.324 0.088
Y 0.224 0.173 0.924
Y 0.545 0.303 0.819
Y 0.646 0.086 0.182
C 0.726 0.676 0.912
Y 0.776 0.827 0.076
C 0.074 0.924 0.417
B 0.541 0.898 0.520
C 0.205 0.255 0.318
B 0.929 0.379 0.750
Y 0.036 0.894 0.182
B 0.878 0.122 0.250
C 0.143 0.594 0.193
Y 0.827 0.776 0.576
C 0.941 0.193 0.192
Y 0.773 0.022 0.423
C 0.277 0.526 0.417
Y 0.106 0.964 0.318
C 0.807 0.059 0.308
C 0.342 0.990 0.192
Y 0.894 0.036 0.682
C 0.324 0.274 0.588
C 0.857 0.406 0.807
Y 0.028 0.375 0.578
B 0.256 0.511 0.481
Y 0.964 0.106 0.818
C 0.474 0.723 0.083

**VASP energy**: -7.966 eV per atom
**V**: 13.92 Å³/atom
**Crystal system**: monoclinic
**Formation energy**: -421 meV/atom

=====

Entry 12:
## YBC (PBE)

Data for a geometry-optimized YBC structure.

Cell: 3.025 3.025 8.102 Å, 90.00 90.00 120.00°
Positions (direct):
B 0.667 0.333 0.250
C 0.667 0.333 0.750
Y 0.000 0.000 0.500
C 0.333 0.667 0.250
B 0.333 0.667 0.750
Y 0.000 0.000 0.000

**VASP energy**: -7.744 eV per atom
**V**: 10.70 Å³/atom
**Crystal system**: hexagonal
**Formation energy**: -286 meV/atom

=====

Entry 13:
## YB2C (PBE)

Data for a geometry-optimized YB2C structure.

Cell: 6.802 6.802 7.497 Å, 90.00 90.00 90.00°
Positions (direct):
B 0.905 0.403 0.500
B 0.465 0.348 0.500
B 0.035 0.848 0.500
B 0.595 0.903 0.500
Y 0.810 0.690 0.250
C 0.323 0.541 0.500
C 0.041 0.823 0.000
C 0.959 0.177 0.000
C 0.459 0.323 0.000
B 0.405 0.097 0.500
Y 0.810 0.690 0.750
Y 0.310 0.810 0.250
Y 0.690 0.190 0.250
Y 0.190 0.310 0.750
B 0.535 0.652 0.500
C 0.541 0.677 0.000
C 0.677 0.459 0.500
B 0.652 0.465 0.000
B 0.348 0.535 0.000
B 0.095 0.597 0.500
C 0.823 0.959 0.500
Y 0.690 0.190 0.750
Y 0.310 0.810 0.750
B 0.097 0.595 0.000
B 0.965 0.152 0.500
C 0.177 0.041 0.500
B 0.403 0.095 0.000
Y 0.190 0.310 0.250
B 0.903 0.405 0.000
B 0.848 0.965 0.000
B 0.597 0.905 0.000
B 0.152 0.035 0.000

**VASP energy**: -7.787 eV per atom
**V**: 10.84 Å³/atom
**Crystal system**: tetragonal
**Formation energy**: -524 meV/atom

=====

Entry 14:
## CaB2 (PBE)

Data for a geometry-optimized CaB2 structure.

Cell: 3.226 3.226 4.067 Å, 90.00 90.00 120.00°
Positions (direct):
B 0.667 0.333 0.500
B 0.333 0.667 0.500
Ca 0.000 0.000 0.000

**VASP energy**: -5.255 eV per atom
**V**: 12.22 Å³/atom
**Crystal system**: hexagonal
**Formation energy**: -134 meV/atom